No. 1
Material: Ti2N2O
Method: DFT, PBE
State: optimized geometry

Cell and atoms, written as CIF:
```
data_Ti2N2O
_chemical_formula_sum 'Ti16 N16 O8'
_cell_length_a 8.216
_cell_length_b 8.219
_cell_length_c 8.228
_cell_angle_alpha 109.59
_cell_angle_beta 109.44
_cell_angle_gamma 109.31
_symmetry_space_group_name_H-M 'P 1'
_symmetry_Int_Tables_number 1
loop_
_symmetry_equiv_pos_as_xyz
'x,y,z'
loop_
_atom_site_label
_atom_site_type_symbol
_atom_site_fract_x
_atom_site_fract_y
_atom_site_fract_z
Ti1 Ti 0.000 0.000 0.000
Ti2 Ti 0.004 0.493 0.490
Ti3 Ti 0.055 0.300 0.744
Ti4 Ti 0.224 0.762 0.964
Ti5 Ti 0.265 0.460 0.216
Ti6 Ti 0.271 0.980 0.705
Ti7 Ti 0.299 0.255 0.544
Ti8 Ti 0.467 0.212 0.253
Ti9 Ti 0.504 0.998 0.502
Ti10 Ti 0.530 0.513 0.013
Ti11 Ti 0.558 0.804 0.751
Ti12 Ti 0.711 0.745 0.453
Ti13 Ti 0.758 0.047 0.287
Ti14 Ti 0.780 0.558 0.798
Ti15 Ti 0.806 0.264 0.051
Ti16 Ti 0.970 0.714 0.247
N1 N 0.027 0.787 0.053
N2 N 0.054 0.274 0.492
N3 N 0.063 0.515 0.277
N4 N 0.240 0.245 0.275
N5 N 0.241 0.971 0.452
N6 N 0.278 0.233 0.776
N7 N 0.465 0.735 0.460
N8 N 0.473 0.958 0.225
N9 N 0.525 0.468 0.235
N10 N 0.552 0.057 0.775
N11 N 0.738 0.287 0.269
N12 N 0.738 0.459 0.989
N13 N 0.747 0.782 0.229
N14 N 0.780 0.000 0.041
N15 N 0.790 0.775 0.726
N16 N 0.966 0.499 0.729
O1 O 0.007 0.234 0.950
O2 O 0.249 0.015 0.961
O3 O 0.285 0.555 0.006
O4 O 0.290 0.738 0.741
O5 O 0.502 0.549 0.764
O6 O 0.562 0.285 0.541
O7 O 0.792 0.055 0.556
O8 O 0.978 0.747 0.513
```

Summary:
E_form   -1.99 eV per atom
Corrected total energy (MP2020 scheme)   -9.47 eV/atom
Total DFT energy (no corrections)   -9.3347 eV per atom
Space-group type   No. 1

No. 2
Material: PmSm3
Method: DFT, PBE
State: optimized geometry

Cell and atoms, written as CIF:
```
data_PmSm3
_chemical_formula_sum 'Pm1 Sm3'
_cell_length_a 6.322
_cell_length_b 6.322
_cell_length_c 6.322
_cell_angle_alpha 131.88
_cell_angle_beta 131.88
_cell_angle_gamma 70.42
_symmetry_space_group_name_H-M 'P 1'
_symmetry_Int_Tables_number 1
loop_
_symmetry_equiv_pos_as_xyz
'x,y,z'
loop_
_atom_site_label
_atom_site_type_symbol
_atom_site_fract_x
_atom_site_fract_y
_atom_site_fract_z
Pm1 Pm 0.000 0.000 0.000
Sm1 Sm 0.250 0.750 0.500
Sm2 Sm 0.500 0.500 0.000
Sm3 Sm 0.750 0.250 0.500
```

Summary:
E above lowest polymorph   0.01 eV per formula unit
E_form   0.01 eV per atom
Total DFT energy (no corrections)   -4.7132 eV per atom
Space-group type   No. 139

No. 3
Material: Tm3Ga9Pt2
Method: DFT, PBE
State: optimized geometry

Cell and atoms, written as CIF:
```
data_Tm3Ga9Pt2
_chemical_formula_sum 'Tm3 Ga9 Pt2'
_cell_length_a 8.141
_cell_length_b 8.141
_cell_length_c 8.141
_cell_angle_alpha 149.99
_cell_angle_beta 105.18
_cell_angle_gamma 82.66
_symmetry_space_group_name_H-M 'P 1'
_symmetry_Int_Tables_number 1
loop_
_symmetry_equiv_pos_as_xyz
'x,y,z'
loop_
_atom_site_label
_atom_site_type_symbol
_atom_site_fract_x
_atom_site_fract_y
_atom_site_fract_z
Tm1 Tm 0.000 0.000 0.000
Tm2 Tm 0.309 0.309 0.000
Tm3 Tm 0.691 0.691 0.000
Ga1 Ga 0.028 0.657 0.371
Ga2 Ga 0.146 0.863 0.283
Ga3 Ga 0.286 0.657 0.629
Ga4 Ga 0.420 0.137 0.283
Ga5 Ga 0.500 0.000 0.500
Ga6 Ga 0.580 0.863 0.717
Ga7 Ga 0.714 0.343 0.371
Ga8 Ga 0.854 0.137 0.717
Ga9 Ga 0.972 0.343 0.629
Pt1 Pt 0.303 0.500 0.803
Pt2 Pt 0.697 0.500 0.197
```

Summary:
E_form   -0.65 eV per atom
Total DFT energy (no corrections)   -4.4216 eV per atom
Space-group type   No. 71

No. 4
Material: Dy5Ti5O17
Method: DFT, PBE
State: optimized geometry

Cell and atoms, written as CIF:
```
data_Dy5Ti5O17
_chemical_formula_sum 'Dy10 Ti10 O34'
_cell_length_a 3.859
_cell_length_b 5.442
_cell_length_c 31.649
_cell_angle_alpha 90.00
_cell_angle_beta 90.00
_cell_angle_gamma 90.00
_symmetry_space_group_name_H-M 'P 1'
_symmetry_Int_Tables_number 1
loop_
_symmetry_equiv_pos_as_xyz
'x,y,z'
loop_
_atom_site_label
_atom_site_type_symbol
_atom_site_fract_x
_atom_site_fract_y
_atom_site_fract_z
Dy1 Dy 0.000 0.173 0.000
Dy2 Dy 0.000 0.234 0.222
Dy3 Dy 0.000 0.327 0.446
Dy4 Dy 0.000 0.702 0.320
Dy5 Dy 0.000 0.782 0.127
Dy6 Dy 0.500 0.218 0.627
Dy7 Dy 0.500 0.298 0.820
Dy8 Dy 0.500 0.673 0.946
Dy9 Dy 0.500 0.766 0.722
Dy10 Dy 0.500 0.827 0.500
Ti1 Ti 0.000 0.219 0.898
Ti2 Ti 0.000 0.242 0.725
Ti3 Ti 0.000 0.272 0.548
Ti4 Ti 0.000 0.741 0.634
Ti5 Ti 0.000 0.746 0.811
Ti6 Ti 0.500 0.254 0.311
Ti7 Ti 0.500 0.259 0.134
Ti8 Ti 0.500 0.728 0.048
Ti9 Ti 0.500 0.758 0.225
Ti10 Ti 0.500 0.781 0.398
O1 O 0.000 0.046 0.841
O2 O 0.000 0.049 0.498
O3 O 0.000 0.049 0.670
O4 O 0.000 0.283 0.301
O5 O 0.000 0.289 0.145
O6 O 0.000 0.398 0.779
O7 O 0.000 0.422 0.605
O8 O 0.000 0.446 0.948
O9 O 0.000 0.526 0.857
O10 O 0.000 0.542 0.695
O11 O 0.000 0.543 0.511
O12 O 0.000 0.736 0.393
O13 O 0.000 0.780 0.054
O14 O 0.000 0.801 0.226
O15 O 0.000 0.901 0.754
O16 O 0.000 0.949 0.589
O17 O 0.000 0.949 0.936
O18 O 0.500 0.051 0.089
O19 O 0.500 0.051 0.436
O20 O 0.500 0.099 0.254
O21 O 0.500 0.199 0.726
O22 O 0.500 0.220 0.554
O23 O 0.500 0.264 0.893
O24 O 0.500 0.457 0.011
O25 O 0.500 0.458 0.195
O26 O 0.500 0.474 0.357
O27 O 0.500 0.554 0.448
O28 O 0.500 0.578 0.105
O29 O 0.500 0.602 0.279
O30 O 0.500 0.711 0.645
O31 O 0.500 0.717 0.801
O32 O 0.500 0.951 0.170
O33 O 0.500 0.951 0.998
O34 O 0.500 0.954 0.341
```

Summary:
E_form   -3.70 eV per atom
Corrected total energy (MP2020 scheme)   -9.13 eV/atom
Total DFT energy (no corrections)   -8.7017 eV per atom
Space-group type   No. 31

No. 5
Material: Nb32N27
Method: DFT, PBE
State: optimized geometry

Cell and atoms, written as CIF:
```
data_Nb32N27
_chemical_formula_sum 'Nb32 N27'
_cell_length_a 82.299
_cell_length_b 82.299
_cell_length_c 82.299
_cell_angle_alpha 2.18
_cell_angle_beta 2.18
_cell_angle_gamma 2.18
_symmetry_space_group_name_H-M 'P 1'
_symmetry_Int_Tables_number 1
loop_
_symmetry_equiv_pos_as_xyz
'x,y,z'
loop_
_atom_site_label
_atom_site_type_symbol
_atom_site_fract_x
_atom_site_fract_y
_atom_site_fract_z
Nb1 Nb 0.016 0.016 0.016
Nb2 Nb 0.047 0.047 0.047
Nb3 Nb 0.078 0.078 0.078
Nb4 Nb 0.109 0.109 0.109
Nb5 Nb 0.141 0.141 0.141
Nb6 Nb 0.172 0.172 0.172
Nb7 Nb 0.203 0.203 0.203
Nb8 Nb 0.234 0.234 0.234
Nb9 Nb 0.265 0.265 0.265
Nb10 Nb 0.297 0.297 0.297
Nb11 Nb 0.328 0.328 0.328
Nb12 Nb 0.359 0.359 0.359
Nb13 Nb 0.391 0.391 0.391
Nb14 Nb 0.422 0.422 0.422
Nb15 Nb 0.453 0.453 0.453
Nb16 Nb 0.484 0.484 0.484
Nb17 Nb 0.516 0.516 0.516
Nb18 Nb 0.547 0.547 0.547
Nb19 Nb 0.578 0.578 0.578
Nb20 Nb 0.609 0.609 0.609
Nb21 Nb 0.641 0.641 0.641
Nb22 Nb 0.672 0.672 0.672
Nb23 Nb 0.703 0.703 0.703
Nb24 Nb 0.735 0.735 0.735
Nb25 Nb 0.766 0.766 0.766
Nb26 Nb 0.797 0.797 0.797
Nb27 Nb 0.828 0.828 0.828
Nb28 Nb 0.859 0.859 0.859
Nb29 Nb 0.891 0.891 0.891
Nb30 Nb 0.922 0.922 0.922
Nb31 Nb 0.953 0.953 0.953
Nb32 Nb 0.984 0.984 0.984
N1 N 0.063 0.063 0.063
N2 N 0.094 0.094 0.094
N3 N 0.125 0.125 0.125
N4 N 0.156 0.156 0.156
N5 N 0.187 0.187 0.187
N6 N 0.219 0.219 0.219
N7 N 0.250 0.250 0.250
N8 N 0.281 0.281 0.281
N9 N 0.312 0.312 0.312
N10 N 0.344 0.344 0.344
N11 N 0.375 0.375 0.375
N12 N 0.438 0.438 0.438
N13 N 0.469 0.469 0.469
N14 N 0.500 0.500 0.500
N15 N 0.531 0.531 0.531
N16 N 0.562 0.562 0.562
N17 N 0.625 0.625 0.625
N18 N 0.656 0.656 0.656
N19 N 0.688 0.688 0.688
N20 N 0.719 0.719 0.719
N21 N 0.750 0.750 0.750
N22 N 0.781 0.781 0.781
N23 N 0.813 0.813 0.813
N24 N 0.844 0.844 0.844
N25 N 0.875 0.875 0.875
N26 N 0.906 0.906 0.906
N27 N 0.937 0.937 0.937
```

Summary:
E_form   -0.98 eV per atom
Corrected total energy (MP2020 scheme)   -10.27 eV/atom
Total DFT energy (no corrections)   -10.1074 eV per atom
Space-group type   No. 166

No. 6
Material: Cs2InBiI6
Method: DFT, PBE
State: optimized geometry

Cell and atoms, written as CIF:
```
data_Cs2InBiI6
_chemical_formula_sum 'Cs2 In1 Bi1 I6'
_cell_length_a 8.987
_cell_length_b 8.987
_cell_length_c 8.987
_cell_angle_alpha 60.00
_cell_angle_beta 60.00
_cell_angle_gamma 60.00
_symmetry_space_group_name_H-M 'P 1'
_symmetry_Int_Tables_number 1
loop_
_symmetry_equiv_pos_as_xyz
'x,y,z'
loop_
_atom_site_label
_atom_site_type_symbol
_atom_site_fract_x
_atom_site_fract_y
_atom_site_fract_z
Cs1 Cs 0.250 0.250 0.250
Cs2 Cs 0.750 0.750 0.750
In1 In 0.000 0.000 0.000
Bi1 Bi 0.500 0.500 0.500
I1 I 0.256 0.256 0.744
I2 I 0.256 0.744 0.256
I3 I 0.256 0.744 0.744
I4 I 0.744 0.256 0.256
I5 I 0.744 0.256 0.744
I6 I 0.744 0.744 0.256
```

Summary:
E_form   -1.15 eV per atom
Corrected total energy (MP2020 scheme)   -2.91 eV/atom
Total DFT energy (no corrections)   -2.6778 eV per atom
Space-group type   No. 225